The following is a DFT calculation (PBE) of a relaxed CeAlCu4 crystal.

Calculated values
Crystal system ... hexagonal
Energy ... -4.26 eV per atom
ΔH_f (0 K) ... 0.50 eV per formula unit

Geometry as CIF:
```
data_CeAlCu4
_cell_length_a 5.7200
_cell_length_b 5.7200
_cell_length_c 4.4699
_cell_angle_alpha 90.00
_cell_angle_beta 90.00
_cell_angle_gamma 120.00
_symmetry_space_group_name_H-M 'P -6 m 2'
_symmetry_Int_Tables_number 187
_symmetry_space_group_name_Hall 'P -6 2'
loop_
_atom_site_label
_atom_site_fract_x
_atom_site_fract_y
_atom_site_fract_z
Ce1 0.0000 0.0000 0.0000
Al1 0.3333 0.6667 0.0000
Cu1 0.5009 0.0018 0.5000
Cu2 0.6667 0.3333 0.0000
```

=====

The following is a DFT calculation (PBE) of a relaxed CeAl2Cu3 crystal.

Calculated values
Crystal system ... orthorhombic
Energy ... -4.65 eV per atom
ΔH_f (0 K) ... -2.19 eV per formula unit

Geometry as CIF:
```
data_CeAl2Cu3
_cell_length_a 5.305
_cell_length_b 8.857
_cell_length_c 4.188
_cell_angle_alpha 90.00
_cell_angle_beta 90.00
_cell_angle_gamma 90.00
_symmetry_space_group_name_H-M 'C m m m'
_symmetry_Int_Tables_number 65
_symmetry_space_group_name_Hall '-C 2 2'
loop_
_atom_site_label
_atom_site_fract_x
_atom_site_fract_y
_atom_site_fract_z
Ce1 0.000 0.000 0.000
Al1 0.250 0.250 0.500
Cu1 0.000 0.336 0.000
Cu2 0.000 0.500 0.500
```